(1)
MgV4O6F6 | GGA+U | optimized geometry

Properties
The space group is P1, No. 1. The calculation puts the energy at -6.65 eV/atom. Its density is 3.44 g/cm3. The formation energy is -2800 meV per atom. As for the relative energy among the computed polymorphs: 0.009 eV/atom.

Unit cell a=5.057 b=5.257 c=9.422 alpha=75.79 beta=74.79 gamma=62.16
Element x y z (fractional)
Mg 0.000 0.000 0.000
V 0.068 0.163 0.553
V 0.365 0.434 0.804
V 0.654 0.632 0.049
V 0.816 0.892 0.328
O 0.016 0.390 0.933
O 0.387 0.656 0.935
O 0.483 0.942 0.436
O 0.704 0.380 0.682
O 0.822 0.710 0.167
O 0.911 0.103 0.434
F 0.080 0.527 0.432
F 0.106 0.798 0.694
F 0.225 0.879 0.175
F 0.302 0.193 0.682
F 0.639 0.032 0.927
F 0.667 0.256 0.170



(2)
MgV6O5F19 | GGA+U | optimized geometry

Properties
The space group is P1, No. 1. The calculation puts the energy at -5.91 eV/atom. Its density is 2.82 g/cm3. The formation energy is -2850 meV per atom. As for the relative energy among the computed polymorphs: 0.026 eV/atom.

Unit cell a=5.413 b=5.496 c=15.517 alpha=100.12 beta=90.46 gamma=91.64
Element x y z (fractional)
Mg 0.000 0.000 0.000
V 0.210 0.403 0.200
V 0.221 0.643 0.833
V 0.234 0.957 0.516
V 0.688 0.912 0.195
V 0.739 0.180 0.833
V 0.783 0.450 0.516
O 0.000 0.610 0.203
O 0.026 0.401 0.846
O 0.046 0.729 0.535
O 0.483 0.119 0.178
O 0.963 0.226 0.534
F 0.161 0.272 0.076
F 0.173 0.970 0.405
F 0.230 0.642 0.718
F 0.261 0.774 0.959
F 0.316 0.451 0.309
F 0.319 0.108 0.624
F 0.452 0.970 0.834
F 0.474 0.601 0.165
F 0.486 0.291 0.492
F 0.520 0.800 0.496
F 0.535 0.458 0.832
F 0.681 0.884 0.309
F 0.694 0.586 0.623
F 0.746 0.212 0.956
F 0.783 0.089 0.721
F 0.814 0.828 0.074
F 0.829 0.471 0.405
F 0.951 0.896 0.855
F 0.992 0.138 0.219



(3)
MgV6O5F19 | GGA+U | optimized geometry

Properties
The space group is P1, No. 1. The calculation puts the energy at -5.91 eV/atom. Its density is 2.82 g/cm3. The formation energy is -2849 meV per atom. As for the relative energy among the computed polymorphs: 0.027 eV/atom.

Unit cell a=5.415 b=5.458 c=15.595 alpha=80.18 beta=89.77 gamma=89.31
Element x y z (fractional)
Mg 0.000 0.000 0.000
V 0.240 0.776 0.836
V 0.259 0.150 0.198
V 0.288 0.552 0.516
V 0.706 0.279 0.830
V 0.728 0.673 0.197
V 0.738 0.051 0.515
O 0.081 0.522 0.855
O 0.454 0.110 0.825
O 0.470 0.796 0.498
O 0.510 0.908 0.187
O 0.553 0.296 0.495
F 0.013 0.888 0.217
F 0.027 0.187 0.538
F 0.184 0.872 0.725
F 0.192 0.521 0.410
F 0.193 0.168 0.075
F 0.275 0.807 0.956
F 0.300 0.132 0.310
F 0.343 0.422 0.626
F 0.495 0.415 0.168
F 0.547 0.619 0.827
F 0.680 0.931 0.626
F 0.713 0.542 0.311
F 0.752 0.252 0.955
F 0.822 0.748 0.072
F 0.829 0.004 0.410
F 0.840 0.379 0.725
F 0.954 0.995 0.858
F 0.996 0.688 0.542
F 0.999 0.399 0.193



(4)
MgV4O5F7 | GGA+U | optimized geometry

Properties
The space group is P1, No. 1. The calculation puts the energy at -6.55 eV/atom. Its density is 3.45 g/cm3. The formation energy is -2872 meV per atom. As for the relative energy among the computed polymorphs: 0.012 eV/atom.

Unit cell a=5.318 b=5.318 c=8.927 alpha=92.19 beta=105.83 gamma=117.13
Element x y z (fractional)
Mg 0.000 0.000 0.000
V 0.228 0.613 0.830
V 0.278 0.114 0.364
V 0.727 0.824 0.609
V 0.736 0.377 0.116
O 0.408 0.218 0.178
O 0.456 0.765 0.692
O 0.527 0.420 0.497
O 0.949 0.748 0.176
O 0.995 0.800 0.801
F 0.021 0.901 0.490
F 0.025 0.392 0.988
F 0.481 0.409 0.915
F 0.492 0.899 0.409
F 0.591 0.953 0.999
F 0.943 0.248 0.676
F 0.981 0.263 0.277



(5)
MgV4O6F6 | GGA+U | optimized geometry

Properties
The space group is P1, No. 1. The calculation puts the energy at -6.62 eV/atom. Its density is 3.51 g/cm3. The formation energy is -2769 meV per atom. As for the relative energy among the computed polymorphs: 0.039 eV/atom.

Unit cell a=5.093 b=5.424 c=7.528 alpha=86.09 beta=89.19 gamma=89.56
Element x y z (fractional)
Mg 0.000 0.000 0.000
V 0.460 0.077 0.306
V 0.505 0.090 0.766
V 0.979 0.569 0.295
V 0.997 0.564 0.806
O 0.182 0.895 0.226
O 0.194 0.262 0.847
O 0.397 0.101 0.530
O 0.789 0.906 0.760
O 0.795 0.310 0.322
O 0.912 0.604 0.027
F 0.095 0.595 0.548
F 0.298 0.392 0.228
F 0.298 0.787 0.844
F 0.626 0.093 0.046
F 0.680 0.784 0.350
F 0.688 0.403 0.726



(6)
MgV4O5F7 | GGA+U | optimized geometry

Properties
The space group is P1, No. 1. The calculation puts the energy at -6.54 eV/atom. Its density is 3.40 g/cm3. The formation energy is -2860 meV per atom. As for the relative energy among the computed polymorphs: 0.024 eV/atom.

Unit cell a=5.128 b=5.436 c=7.752 alpha=87.32 beta=89.71 gamma=87.36
Element x y z (fractional)
Mg 0.000 0.000 0.000
V 0.038 0.399 0.714
V 0.471 0.905 0.252
V 0.485 0.897 0.712
V 0.988 0.411 0.223
O 0.189 0.084 0.783
O 0.250 0.177 0.162
O 0.278 0.592 0.758
O 0.396 0.899 0.461
O 0.722 0.614 0.252
F 0.113 0.388 0.461
F 0.196 0.708 0.139
F 0.643 0.895 0.963
F 0.712 0.190 0.670
F 0.783 0.101 0.249
F 0.787 0.677 0.652
F 0.889 0.377 0.964



(7)
MgV6O5F19 | GGA+U | optimized geometry

Properties
The space group is P1, No. 1. The calculation puts the energy at -5.93 eV/atom. Its density is 2.91 g/cm3. The formation energy is -2876 meV per atom. As for the relative energy among the computed polymorphs: 0.000 eV/atom.

Unit cell a=5.341 b=5.384 c=15.509 alpha=80.49 beta=89.79 gamma=89.79
Element x y z (fractional)
Mg 0.000 0.000 0.000
V 0.263 0.352 0.839
V 0.289 0.958 0.514
V 0.315 0.654 0.188
V 0.702 0.834 0.836
V 0.755 0.160 0.195
V 0.772 0.483 0.518
O 0.468 0.724 0.495
O 0.473 0.052 0.826
O 0.476 0.393 0.170
O 0.537 0.880 0.175
O 0.552 0.553 0.833
F 0.039 0.938 0.203
F 0.051 0.274 0.540
F 0.060 0.623 0.865
F 0.173 0.396 0.729
F 0.174 0.075 0.408
F 0.186 0.738 0.070
F 0.289 0.235 0.961
F 0.299 0.593 0.304
F 0.334 0.946 0.628
F 0.554 0.207 0.495
F 0.670 0.441 0.628
F 0.689 0.097 0.307
F 0.727 0.793 0.960
F 0.820 0.202 0.070
F 0.830 0.568 0.405
F 0.842 0.897 0.732
F 0.963 0.117 0.868
F 0.971 0.438 0.198
F 0.983 0.771 0.540



(8)
MgV2O2F6 | GGA+U | optimized geometry

Properties
The space group is P1, No. 1. The calculation puts the energy at -6.07 eV/atom. Its density is 2.74 g/cm3. The formation energy is -3011 meV per atom. As for the relative energy among the computed polymorphs: 0.075 eV/atom.

Unit cell a=4.751 b=4.769 c=7.886 alpha=72.59 beta=75.91 gamma=89.99
Element x y z (fractional)
Mg 0.000 0.000 0.000
V 0.234 0.138 0.595
V 0.764 0.732 0.405
O 0.488 0.894 0.579
O 0.510 0.472 0.420
F 0.052 0.041 0.417
F 0.078 0.690 0.198
F 0.300 0.251 0.806
F 0.698 0.055 0.194
F 0.920 0.891 0.801
F 0.946 0.460 0.582



Q: What is the energy in the first record?
A: -6.65 eV/atom



Q: Which value of relative energy among the computed polymorphs does entry 1 give?
A: 0.009 eV/atom



Q: What is the relative energy among the computed polymorphs in the first record?
A: 0.009 eV/atom



Q: Which value of relative energy among the computed polymorphs does entry 2 give?
A: 0.026 eV/atom